Entry 1:
This record from the Materials Project database describes an optimized crystal structure of TmInPt. The functional is r2SCAN.

Cell lengths 7.5889, 7.5889, 3.7918 Å; angles 90.00, 90.00, 120.00 degrees
Atoms (fractional coordinates):
1 Tm 0.0000 0.5952 0.0000
2 Tm 0.4048 0.4048 0.0000
3 Tm 0.5952 0.0000 0.0000
4 In 0.0000 0.2629 0.5000
5 In 0.2629 0.0000 0.5000
6 In 0.7371 0.7371 0.5000
7 Pt 0.0000 0.0000 0.0000
8 Pt 0.3333 0.6667 0.5000
9 Pt 0.6667 0.3333 0.5000

formation enthalpy at 0 K = -1.139 eV per atom


Entry 2:
This record from the Materials Project database describes an optimized crystal structure of KTaS5. The functional is r2SCAN.

Cell lengths 15.3119, 6.4662, 15.6629 Å; angles 90.00, 120.47, 90.00 degrees
Atoms (fractional coordinates):
1 K 0.1492 0.1429 0.0853
2 K 0.1492 0.3571 0.5853
3 K 0.3482 0.6393 0.9318
4 K 0.3482 0.8607 0.4318
5 K 0.6518 0.1393 0.5682
6 K 0.6518 0.3607 0.0682
7 K 0.8508 0.6429 0.4147
8 K 0.8508 0.8571 0.9147
9 Ta 0.0360 0.0561 0.7440
10 Ta 0.0360 0.4439 0.2440
11 Ta 0.4650 0.5810 0.7086
12 Ta 0.4650 0.9190 0.2086
13 Ta 0.5350 0.0810 0.7914
14 Ta 0.5350 0.4190 0.2914
15 Ta 0.9640 0.5561 0.7560
16 Ta 0.9640 0.9439 0.2560
17 S 0.0421 0.6605 0.3775
18 S 0.0421 0.8395 0.8775
19 S 0.0552 0.6053 0.1083
20 S 0.0552 0.8947 0.6083
21 S 0.1106 0.7211 0.7354
22 S 0.1106 0.7789 0.2354
23 S 0.1256 0.1719 0.3739
24 S 0.1256 0.3281 0.8739
25 S 0.2051 0.2062 0.8108
26 S 0.2051 0.2938 0.3108
27 S 0.2964 0.7383 0.6056
28 S 0.2964 0.7617 0.1056
29 S 0.3741 0.6468 0.2486
30 S 0.3741 0.8532 0.7486
31 S 0.3883 0.2468 0.6262
32 S 0.3883 0.2532 0.1262
33 S 0.4458 0.0841 0.0547
34 S 0.4458 0.4159 0.5547
35 S 0.4588 0.1346 0.3367
36 S 0.4588 0.3654 0.8367
37 S 0.5412 0.6346 0.1633
38 S 0.5412 0.8654 0.6633
39 S 0.5542 0.5841 0.4453
40 S 0.5542 0.9159 0.9453
41 S 0.6117 0.7468 0.8738
42 S 0.6117 0.7532 0.3738
43 S 0.6259 0.1468 0.2514
44 S 0.6259 0.3532 0.7514
45 S 0.7036 0.2383 0.8944
46 S 0.7036 0.2617 0.3944
47 S 0.7949 0.7062 0.6892
48 S 0.7949 0.7938 0.1892
49 S 0.8744 0.6719 0.1261
50 S 0.8744 0.8281 0.6261
51 S 0.8894 0.2211 0.7646
52 S 0.8894 0.2789 0.2646
53 S 0.9448 0.1053 0.3917
54 S 0.9448 0.3947 0.8917
55 S 0.9579 0.1605 0.1225
56 S 0.9579 0.3395 0.6225

formation enthalpy at 0 K = -0.936 eV per atom